[1]
Entry from the Materials Project database: a relaxed NaHfSnP3O12 crystal (PBE-GGA).

Output
The formation energy is -2886 meV per atom. For the magnetization, the calculation gives 0.00 μB/atom. For the total energy, the calculation gives -7.48 eV per atom.

abc: 8.7727 8.7727 23.0512
angles: 90.00 90.00 120.00
With the nearest neighbours (Å) after each atom.
Element x y z (fractional)
Na: 0.0000 0.0000 0.5005  6 O 2.59-2.64
Na: 0.0000 0.0000 0.0005  6 O 2.59-2.64
Na: 0.6667 0.3333 0.8330  6 O 2.59-2.63
Na: 0.6667 0.3333 0.3338  6 O 2.59-2.64
Na: 0.3333 0.6667 0.1671  6 O 2.59-2.63
Na: 0.3333 0.6667 0.6662  6 O 2.59-2.64
Hf: 0.0000 0.0000 0.3544  6 O 2.05-2.06
Hf: 0.0000 0.0000 0.8531  6 O 2.05-2.06
Hf: 0.6667 0.3333 0.1871  6 O 2.04-2.07
Hf: 0.6667 0.3333 0.9807  6 O 2.05-2.07
Hf: 0.3333 0.6667 0.0203  6 O 2.04-2.07
Hf: 0.3333 0.6667 0.8128  6 O 2.04-2.07
Sn: 0.0000 0.0000 0.6473  6 O 2.04-2.07
Sn: 0.0000 0.0000 0.1484  6 O 2.04-2.07
Sn: 0.6667 0.3333 0.6854  6 O 2.05-2.07
Sn: 0.6667 0.3333 0.4812  6 O 2.05-2.07
Sn: 0.3333 0.6667 0.5197  6 O 2.04-2.07
Sn: 0.3333 0.6667 0.3145  6 O 2.05-2.06
P: 0.2888 0.9977 0.2504  4 O 1.53-1.55
P: 0.7090 0.7112 0.2504  4 O 1.53-1.55
P: 0.0023 0.2910 0.2504  4 O 1.53-1.55
P: 0.2912 0.2888 0.7491  4 O 1.53-1.55
P: 0.9975 0.7088 0.7491  4 O 1.53-1.55
P: 0.7112 0.0025 0.7491  4 O 1.53-1.55
P: 0.9570 0.3333 0.5833  4 O 1.54-1.55
P: 0.3763 0.0430 0.5833  4 O 1.54-1.55
P: 0.6667 0.6237 0.5833  4 O 1.54-1.55
P: 0.9568 0.6258 0.0840  4 O 1.54-1.55
P: 0.6691 0.0432 0.0840  4 O 1.54-1.55
P: 0.3742 0.3309 0.0840  4 O 1.54-1.55
P: 0.6230 0.6665 0.9167  4 O 1.54
P: 0.0435 0.3770 0.9167  4 O 1.54
P: 0.3335 0.9565 0.9167  4 O 1.54
P: 0.6208 0.9566 0.4173  4 O 1.54-1.55
P: 0.3358 0.3792 0.4173  4 O 1.54-1.55
P: 0.0434 0.6642 0.4173  4 O 1.54-1.55
O: 0.2052 0.0288 0.3043  1 P 1.53
O: 0.8236 0.7948 0.3043  1 P 1.53
O: 0.9712 0.1764 0.3043  1 P 1.53
O: 0.2074 0.1760 0.8033  1 P 1.53
O: 0.9686 0.7926 0.8033  1 P 1.53
O: 0.8240 0.0314 0.8033  1 P 1.53
O: 0.7880 0.9659 0.6941  1 P 1.54
O: 0.1780 0.2120 0.6941  1 P 1.54
O: 0.0341 0.8220 0.6941  1 P 1.54
O: 0.7864 0.8221 0.1950  1 P 1.54
O: 0.0357 0.2136 0.1950  1 P 1.54
O: 0.1779 0.9643 0.1950  1 P 1.54
O: 0.8799 0.3684 0.6383  1 P 1.54
O: 0.4885 0.1201 0.6383  1 P 1.54
O: 0.6316 0.5115 0.6383  1 P 1.54
O: 0.8728 0.5110 0.1379  1 P 1.54
O: 0.6382 0.1272 0.1379  1 P 1.54
O: 0.4890 0.3618 0.1379  1 P 1.54
O: 0.4587 0.3025 0.0296  1 P 1.54
O: 0.8438 0.5413 0.0296  1 P 1.54
O: 0.6975 0.1562 0.0296  1 P 1.54
O: 0.4537 0.1553 0.5283  1 P 1.54
O: 0.7016 0.5463 0.5283  1 P 1.54
O: 0.8447 0.2984 0.5283  1 P 1.54
O: 0.5394 0.6963 0.9708  1 P 1.54
O: 0.1569 0.4606 0.9708  1 P 1.54
O: 0.3037 0.8431 0.9708  1 P 1.54
O: 0.5448 0.8437 0.4722  1 P 1.54
O: 0.2989 0.4552 0.4722  1 P 1.54
O: 0.1563 0.7011 0.4722  1 P 1.54
O: 0.1205 0.6305 0.3619  1 P 1.54
O: 0.5101 0.8795 0.3619  1 P 1.54
O: 0.3695 0.4899 0.3619  1 P 1.54
O: 0.1276 0.4904 0.8624  1 P 1.54
O: 0.3628 0.8724 0.8624  1 P 1.54
O: 0.5096 0.6372 0.8624  1 P 1.54
O: 0.0240 0.8286 0.4099  1 P 1.54
O: 0.8046 0.9760 0.4099  1 P 1.54
O: 0.1714 0.1954 0.4099  1 P 1.54
O: 0.0240 0.1933 0.9096  1 P 1.54
O: 0.1693 0.9760 0.9096  1 P 1.54
O: 0.8067 0.8307 0.9096  1 P 1.54
O: 0.9759 0.1673 0.5894  1 P 1.55
O: 0.1913 0.0241 0.5894  1 P 1.55
O: 0.8327 0.8087 0.5894  1 P 1.55
O: 0.9755 0.8105 0.0897  1 P 1.55
O: 0.8350 0.0245 0.0897  1 P 1.55
O: 0.1895 0.1650 0.0897  1 P 1.55
O: 0.6920 0.1684 0.7436  1 P 1.55
O: 0.4764 0.3080 0.7436  1 P 1.55
O: 0.8316 0.5236 0.7436  1 P 1.55
O: 0.6904 0.5279 0.2433  1 P 1.54
O: 0.8375 0.3096 0.2433  1 P 1.54
O: 0.4721 0.1625 0.2433  1 P 1.54
O: 0.6427 0.5026 0.9237  1 P 1.54
O: 0.8598 0.3573 0.9237  1 P 1.54
O: 0.4974 0.1402 0.9237  1 P 1.54
O: 0.6417 0.1425 0.4231  1 P 1.55
O: 0.5008 0.3583 0.4231  1 P 1.55
O: 0.8575 0.4992 0.4231  1 P 1.55
O: 0.3562 0.4958 0.0766  1 P 1.54
O: 0.1396 0.6438 0.0766  1 P 1.54
O: 0.5042 0.8604 0.0766  1 P 1.54
O: 0.3575 0.8580 0.5772  1 P 1.55
O: 0.5006 0.6425 0.5772  1 P 1.55
O: 0.1420 0.4994 0.5772  1 P 1.55
O: 0.3092 0.8327 0.2565  1 P 1.55
O: 0.5235 0.6908 0.2565  1 P 1.55
O: 0.1673 0.4765 0.2565  1 P 1.55
O: 0.3103 0.4722 0.7567  1 P 1.54
O: 0.1619 0.6897 0.7567  1 P 1.54
O: 0.5278 0.8381 0.7567  1 P 1.54


[2]
Entry from the Materials Project database: a relaxed NaHfTiP3O12 crystal (PBE-GGA).

Output
The formation energy is -3130 meV per atom. For the magnetization, the calculation gives 0.00 μB/atom. For the total energy, the calculation gives -7.94 eV per atom.

abc: 8.7352 8.7352 22.6235
angles: 90.00 90.00 120.00
With the nearest neighbours (Å) after each atom.
Element x y z (fractional)
Na: 0.0000 0.0000 0.5035  6 O 2.52-2.63
Na: 0.0000 0.0000 0.0027  6 O 2.54-2.62
Na: 0.6667 0.3333 0.8306  6 O 2.59-2.61
Na: 0.6667 0.3333 0.3367  6 O 2.55-2.64
Na: 0.3333 0.6667 0.1697  6 O 2.52-2.60
Na: 0.3333 0.6667 0.6629  6 O 2.54-2.57
Hf: 0.0000 0.0000 0.3576  6 O 2.02-2.09
Hf: 0.0000 0.0000 0.8518  6 O 2.04-2.07
Hf: 0.6667 0.3333 0.1889  6 O 2.02-2.07
Hf: 0.6667 0.3333 0.9812  6 O 2.04-2.08
Hf: 0.3333 0.6667 0.0214  6 O 2.02-2.07
Hf: 0.3333 0.6667 0.8093  6 O 2.03-2.10
Ti: 0.0000 0.0000 0.6447  6 O 1.91-2.03
Ti: 0.0000 0.0000 0.1490  6 O 1.94-1.98
Ti: 0.6667 0.3333 0.6840  6 O 1.93-1.98
Ti: 0.6667 0.3333 0.4808  6 O 1.93-2.02
Ti: 0.3333 0.6667 0.5212  6 O 1.91-2.02
Ti: 0.3333 0.6667 0.3137  6 O 1.95-2.00
P: 0.2839 0.9923 0.2511  4 O 1.53-1.56
P: 0.7084 0.7161 0.2511  4 O 1.53-1.56
P: 0.0077 0.2916 0.2511  4 O 1.53-1.56
P: 0.2918 0.2851 0.7454  4 O 1.54-1.55
P: 0.9933 0.7082 0.7454  4 O 1.54-1.55
P: 0.7149 0.0067 0.7454  4 O 1.54-1.55
P: 0.9530 0.3331 0.5826  4 O 1.55
P: 0.3801 0.0470 0.5826  4 O 1.55
P: 0.6669 0.6199 0.5826  4 O 1.55
P: 0.9579 0.6322 0.0854  4 O 1.53-1.55
P: 0.6743 0.0421 0.0854  4 O 1.53-1.55
P: 0.3678 0.3257 0.0854  4 O 1.53-1.55
P: 0.6239 0.6661 0.9157  4 O 1.53-1.54
P: 0.0421 0.3761 0.9157  4 O 1.53-1.54
P: 0.3339 0.9579 0.9157  4 O 1.53-1.54
P: 0.6114 0.9524 0.4186  4 O 1.54-1.56
P: 0.3410 0.3886 0.4186  4 O 1.54-1.56
P: 0.0476 0.6590 0.4186  4 O 1.54-1.56
O: 0.1994 0.0206 0.3064  1 P 1.53
O: 0.8212 0.8006 0.3064  1 P 1.53
O: 0.9794 0.1788 0.3064  1 P 1.53
O: 0.2102 0.1768 0.8024  1 P 1.55
O: 0.9666 0.7898 0.8024  1 P 1.55
O: 0.8232 0.0334 0.8024  1 P 1.55
O: 0.8097 0.9821 0.6917  1 P 1.55
O: 0.1724 0.1903 0.6917  1 P 1.55
O: 0.0179 0.8276 0.6917  1 P 1.55
O: 0.8005 0.8304 0.1956  1 P 1.56
O: 0.0299 0.1995 0.1956  1 P 1.56
O: 0.1696 0.9701 0.1956  1 P 1.56
O: 0.8651 0.3621 0.6377  1 P 1.55
O: 0.4970 0.1349 0.6377  1 P 1.55
O: 0.6379 0.5030 0.6377  1 P 1.55
O: 0.8687 0.5152 0.1394  1 P 1.53
O: 0.6464 0.1313 0.1394  1 P 1.53
O: 0.4848 0.3536 0.1394  1 P 1.53
O: 0.4553 0.3007 0.0295  1 P 1.55
O: 0.8454 0.5447 0.0295  1 P 1.55
O: 0.6993 0.1546 0.0295  1 P 1.55
O: 0.4691 0.1647 0.5275  1 P 1.55
O: 0.6955 0.5309 0.5275  1 P 1.55
O: 0.8353 0.3045 0.5275  1 P 1.55
O: 0.5352 0.6879 0.9716  1 P 1.54
O: 0.1527 0.4648 0.9716  1 P 1.54
O: 0.3121 0.8473 0.9716  1 P 1.54
O: 0.5227 0.8376 0.4739  1 P 1.55
O: 0.3149 0.4773 0.4739  1 P 1.55
O: 0.1624 0.6851 0.4739  1 P 1.55
O: 0.1357 0.6363 0.3620  1 P 1.56
O: 0.5006 0.8643 0.3620  1 P 1.56
O: 0.3637 0.4994 0.3620  1 P 1.56
O: 0.1328 0.4871 0.8603  1 P 1.54
O: 0.3543 0.8672 0.8603  1 P 1.54
O: 0.5129 0.6457 0.8603  1 P 1.54
O: 0.0288 0.8256 0.4136  1 P 1.55
O: 0.7967 0.9712 0.4136  1 P 1.55
O: 0.1744 0.2033 0.4136  1 P 1.55
O: 0.0236 0.1924 0.9103  1 P 1.53
O: 0.1688 0.9764 0.9103  1 P 1.53
O: 0.8076 0.8312 0.9103  1 P 1.53
O: 0.9719 0.1669 0.5896  1 P 1.55
O: 0.1950 0.0281 0.5896  1 P 1.55
O: 0.8331 0.8050 0.5896  1 P 1.55
O: 0.9753 0.8153 0.0929  1 P 1.54
O: 0.8400 0.0247 0.0929  1 P 1.54
O: 0.1847 0.1600 0.0929  1 P 1.54
O: 0.6949 0.1709 0.7381  1 P 1.54
O: 0.4760 0.3051 0.7381  1 P 1.54
O: 0.8291 0.5240 0.7381  1 P 1.54
O: 0.6855 0.5298 0.2451  1 P 1.54
O: 0.8443 0.3145 0.2451  1 P 1.54
O: 0.4702 0.1557 0.2451  1 P 1.54
O: 0.6421 0.5007 0.9215  1 P 1.54
O: 0.8586 0.3579 0.9215  1 P 1.54
O: 0.4993 0.1414 0.9215  1 P 1.54
O: 0.6292 0.1365 0.4252  1 P 1.54
O: 0.5073 0.3708 0.4252  1 P 1.54
O: 0.8635 0.4927 0.4252  1 P 1.54
O: 0.3464 0.4900 0.0794  1 P 1.54
O: 0.1436 0.6536 0.0794  1 P 1.54
O: 0.5100 0.8564 0.0794  1 P 1.54
O: 0.3608 0.8617 0.5758  1 P 1.55
O: 0.5009 0.6392 0.5758  1 P 1.55
O: 0.1383 0.4991 0.5758  1 P 1.55
O: 0.2995 0.8245 0.2577  1 P 1.55
O: 0.5250 0.7005 0.2577  1 P 1.55
O: 0.1755 0.4750 0.2577  1 P 1.55
O: 0.3093 0.4698 0.7507  1 P 1.55
O: 0.1605 0.6907 0.7507  1 P 1.55
O: 0.5302 0.8395 0.7507  1 P 1.55